Record 1
This record from the Materials Project describes a geometry-optimized La2CdAu2 structure. The functional is meta-GGA r2SCAN.

Summary:
DFT total energy in eV/atom: -36.98

Unit cell a=8.1551 b=8.1551 c=4.0034 alpha=90.00 beta=90.00 gamma=90.00
Fractional positions:
La1 0.1720 0.3280 0.0000
La2 0.3280 0.8280 0.0000
La3 0.6720 0.1720 0.0000
La4 0.8280 0.6720 0.0000
Cd1 0.0000 0.0000 0.5000
Cd2 0.5000 0.5000 0.5000
Au1 0.1282 0.6282 0.5000
Au2 0.3718 0.1282 0.5000
Au3 0.6282 0.8718 0.5000
Au4 0.8718 0.3718 0.5000

=====

Record 2
This record from the Materials Project describes a geometry-optimized LaCdAu structure. The functional is meta-GGA r2SCAN.

Summary:
DFT total energy in eV/atom: -34.23

Unit cell a=8.0286 b=8.0286 c=4.0633 alpha=90.00 beta=90.00 gamma=120.00
Fractional positions:
La1 0.0000 0.4079 0.0000
La2 0.4079 0.0000 0.0000
La3 0.5921 0.5921 0.0000
Cd1 0.0000 0.7469 0.5000
Cd2 0.2531 0.2531 0.5000
Cd3 0.7469 0.0000 0.5000
Au1 0.0000 0.0000 0.0000
Au2 0.3333 0.6667 0.5000
Au3 0.6667 0.3333 0.5000